! CaW2O4 | the Materials Project | PBE with a Hubbard U | relaxed; values from VASP
! - distance to the lowest polymorph of the same formula (meV/atom) = 2
! - E (MP2020) (eV/cell) = -124.39
! - formation energy from the elements (eV/atom) = -2.069
! - electronic total energy (eV per atom) = -7.2245
&SYSTEM
  ibrav = 0, nat = 14, ntyp = 3
/
ATOMIC_SPECIES
W 183.84 W.upf
O 16.00 O.upf
Ca 40.08 Ca.upf
ATOMIC_POSITIONS angstrom
W 0.000 1.675 5.737
W 3.349 1.675 1.147
O 1.918 3.349 1.055
W 1.675 3.349 -1.147
Ca 0.000 3.349 2.295
Ca 0.000 0.000 0.000
O 3.349 1.918 -1.055
O 1.431 0.000 5.645
O 4.780 0.000 1.240
O 0.000 1.431 3.534
O 3.349 -1.431 3.350
O 3.349 1.431 3.350
O 1.918 0.000 1.240
W 1.675 0.000 3.442
CELL_PARAMETERS angstrom
-3.349 3.349 4.590
3.349 -3.349 4.590
3.349 3.349 -4.590